A geometry-optimized Pu3H structure. Source: the Materials Project, functional PBE.

Cell lengths 6.046, 6.046, 3.356 Å; angles 90.00, 90.00, 120.00 degrees
Positions (direct):
Pu1 0.183 0.367 0.250
Pu2 0.183 0.817 0.250
Pu3 0.367 0.183 0.750
Pu4 0.633 0.817 0.250
Pu5 0.817 0.183 0.750
Pu6 0.817 0.633 0.750
H1 0.333 0.667 0.750
H2 0.667 0.333 0.250

## Properties
The calculation puts the total magnetic moment at 0.18 μB/f.u. As for the space-group type: P6_3/mmc, No. 194. The calculation puts the formation enthalpy at 0 K at 1.26 eV per formula unit. The value obtained for the total energy is -11.19 eV/atom.

A geometry-optimized PuH3 structure. Source: the Materials Project, functional PBE.

Cell lengths 3.723, 3.723, 6.688 Å; angles 90.00, 90.00, 120.00 degrees
Positions (direct):
Pu1 0.333 0.667 0.250
Pu2 0.667 0.333 0.750
H1 0.000 0.000 0.250
H2 0.000 0.000 0.750
H3 0.333 0.667 0.594
H4 0.333 0.667 0.906
H5 0.667 0.333 0.094
H6 0.667 0.333 0.406

## Properties
As for the space-group type: P6_3/mmc, No. 194. The calculation puts the formation enthalpy at 0 K at -1.97 eV per formula unit. The value obtained for the total energy is -6.47 eV/atom.

A geometry-optimized Rb3ZnH5 structure. Source: the Materials Project, functional PBE.

Cell lengths 8.122, 8.122, 8.122 Å; angles 121.23, 121.23, 87.89 degrees
Positions (direct):
Rb1 0.181 0.681 0.863
Rb2 0.250 0.250 0.000
Rb3 0.319 0.181 0.500
Rb4 0.681 0.819 0.500
Rb5 0.750 0.750 0.000
Rb6 0.819 0.319 0.137
Zn1 0.250 0.750 0.500
Zn2 0.750 0.250 0.500
H1 0.000 0.000 0.000
H2 0.045 0.785 0.500
H3 0.215 0.715 0.261
H4 0.285 0.545 0.500
H5 0.455 0.955 0.739
H6 0.500 0.500 0.000
H7 0.545 0.045 0.261
H8 0.715 0.455 0.500
H9 0.785 0.285 0.739
H10 0.955 0.215 0.500

## Properties
As for the space-group type: I4/mcm, No. 140. The calculation puts the formation enthalpy at 0 K at -2.74 eV per formula unit. The value obtained for the total energy is -2.56 eV/atom.

A geometry-optimized Re3H structure. Source: the Materials Project, functional PBE.

Cell lengths 4.237, 4.237, 4.237 Å; angles 60.00, 60.00, 60.00 degrees
Positions (direct):
Re1 0.000 0.000 0.000
Re2 0.250 0.250 0.250
Re3 0.750 0.750 0.750
H1 0.500 0.500 0.500

## Properties
The calculation puts the total magnetic moment at 0.00 μB/f.u. As for the space-group type: Fm-3m, No. 225. The calculation puts the formation enthalpy at 0 K at 3.11 eV per formula unit. The value obtained for the total energy is -9.36 eV/atom.

A geometry-optimized Sr2H5Rh structure. Source: the Materials Project, functional PBE.

Cell lengths 5.447, 5.447, 5.447 Å; angles 121.08, 121.08, 88.14 degrees
Positions (direct):
Sr1 0.000 0.500 0.500
Sr2 0.500 0.000 0.500
H1 0.023 0.023 0.555
H2 0.023 0.469 0.000
H3 0.469 0.023 0.000
H4 0.469 0.469 0.445
H5 0.489 0.489 0.000
Rh1 0.259 0.259 0.000

## Properties
As for the space-group type: I4mm, No. 107. The calculation puts the formation enthalpy at 0 K at -4.43 eV per formula unit. The value obtained for the total energy is -4.02 eV/atom. Its largest piezoelectric modulus is 0.41 C/m2.

A geometry-optimized Sr2H6Ru structure. Source: the Materials Project, functional PBE.

Cell lengths 5.398, 5.398, 5.398 Å; angles 60.00, 60.00, 60.00 degrees
Positions (direct):
Sr1 0.250 0.250 0.250
Sr2 0.750 0.750 0.750
H1 0.226 0.226 0.774
H2 0.226 0.774 0.226
H3 0.226 0.774 0.774
H4 0.774 0.226 0.226
H5 0.774 0.226 0.774
H6 0.774 0.774 0.226
Ru1 0.000 0.000 0.000

## Properties
As for the space-group type: Fm-3m, No. 225. The calculation puts the formation enthalpy at 0 K at -5.25 eV per formula unit. The value obtained for the total energy is -4.25 eV/atom.

A geometry-optimized Si2H6S structure. Source: the Materials Project, functional PBE.

Cell lengths 8.480, 15.494, 9.219 Å; angles 90.00, 90.00, 90.00 degrees
Positions (direct):
Si1 0.098 0.216 0.017
Si2 0.098 0.784 0.517
Si3 0.242 0.464 0.394
Si4 0.242 0.536 0.894
Si5 0.258 0.036 0.894
Si6 0.258 0.964 0.394
Si7 0.402 0.284 0.517
Si8 0.402 0.716 0.017
Si9 0.598 0.284 0.983
Si10 0.598 0.716 0.483
Si11 0.742 0.036 0.606
Si12 0.742 0.964 0.106
Si13 0.758 0.464 0.106
Si14 0.758 0.536 0.606
Si15 0.902 0.216 0.483
Si16 0.902 0.784 0.983
H1 0.062 0.175 0.480
H2 0.062 0.825 0.980
H3 0.094 0.002 0.881
H4 0.094 0.998 0.381
H5 0.110 0.285 0.128
H6 0.110 0.715 0.628
H7 0.129 0.465 0.926
H8 0.129 0.535 0.426
H9 0.130 0.250 0.869
H10 0.130 0.750 0.369
H11 0.198 0.419 0.258
H12 0.198 0.581 0.758
H13 0.302 0.081 0.758
H14 0.302 0.919 0.258
H15 0.370 0.250 0.369
H16 0.370 0.750 0.869
H17 0.371 0.035 0.426
H18 0.371 0.965 0.926
H19 0.390 0.215 0.628
H20 0.390 0.785 0.128
H21 0.406 0.498 0.381
H22 0.406 0.502 0.881
H23 0.438 0.325 0.980
H24 0.438 0.675 0.480
H25 0.562 0.325 0.520
H26 0.562 0.675 0.020
H27 0.594 0.498 0.119
H28 0.594 0.502 0.619
H29 0.610 0.215 0.872
H30 0.610 0.785 0.372
H31 0.629 0.035 0.074
H32 0.629 0.965 0.574
H33 0.630 0.250 0.131
H34 0.630 0.750 0.631
H35 0.698 0.081 0.742
H36 0.698 0.919 0.242
H37 0.802 0.419 0.242
H38 0.802 0.581 0.742
H39 0.870 0.250 0.631
H40 0.870 0.750 0.131
H41 0.871 0.465 0.574
H42 0.871 0.535 0.074
H43 0.890 0.285 0.372
H44 0.890 0.715 0.872
H45 0.906 0.002 0.619
H46 0.906 0.998 0.119
H47 0.938 0.175 0.020
H48 0.938 0.825 0.520
S1 0.224 0.377 0.577
S2 0.224 0.623 0.077
S3 0.276 0.123 0.077
S4 0.276 0.877 0.577
S5 0.724 0.123 0.423
S6 0.724 0.877 0.923
S7 0.776 0.377 0.923
S8 0.776 0.623 0.423

## Properties
As for the space-group type: Pbcn, No. 60. The calculation puts the formation enthalpy at 0 K at -1.46 eV per formula unit. The value obtained for the total energy is -4.03 eV/atom.

A geometry-optimized Si2H2S3 structure. Source: the Materials Project, functional PBE.

Cell lengths 8.248, 8.248, 9.296 Å; angles 90.00, 90.00, 90.00 degrees
Positions (direct):
Si1 0.065 0.192 0.373
Si2 0.192 0.935 0.627
Si3 0.308 0.435 0.873
Si4 0.435 0.692 0.127
Si5 0.565 0.308 0.127
Si6 0.692 0.565 0.873
Si7 0.808 0.065 0.627
Si8 0.935 0.808 0.373
H1 0.110 0.332 0.281
H2 0.168 0.390 0.781
H3 0.332 0.890 0.719
H4 0.390 0.832 0.219
H5 0.610 0.168 0.219
H6 0.668 0.110 0.719
H7 0.832 0.610 0.781
H8 0.890 0.668 0.281
S1 0.000 0.000 0.228
S2 0.000 0.000 0.772
S3 0.137 0.724 0.500
S4 0.224 0.637 0.000
S5 0.276 0.137 0.500
S6 0.363 0.224 0.000
S7 0.500 0.500 0.272
S8 0.500 0.500 0.728
S9 0.637 0.776 0.000
S10 0.724 0.863 0.500
S11 0.776 0.363 0.000
S12 0.863 0.276 0.500

## Properties
As for the space-group type: P-42_1c, No. 114. The calculation puts the formation enthalpy at 0 K at -4.56 eV per formula unit. The value obtained for the total energy is -4.73 eV/atom. Its largest piezoelectric modulus is 0.09 C/m2.

A geometry-optimized ScH2 structure. Source: the Materials Project, functional PBE.

Cell lengths 3.380, 3.380, 3.380 Å; angles 60.00, 60.00, 60.00 degrees
Positions (direct):
Sc1 0.000 0.000 0.000
H1 0.250 0.250 0.250
H2 0.750 0.750 0.750

## Properties
As for the space-group type: Fm-3m, No. 225. The calculation puts the formation enthalpy at 0 K at -2.35 eV per formula unit. The value obtained for the total energy is -5.04 eV/atom.

A geometry-optimized ScH3 structure. Source: the Materials Project, functional PBE.

Cell lengths 3.370, 3.370, 3.370 Å; angles 60.00, 60.00, 60.00 degrees
Positions (direct):
Sc1 0.000 0.000 0.000
H1 0.250 0.250 0.250
H2 0.500 0.500 0.500
H3 0.750 0.750 0.750

## Properties
As for the space-group type: Fm-3m, No. 225. The calculation puts the formation enthalpy at 0 K at -2.20 eV per formula unit. The value obtained for the total energy is -4.54 eV/atom.

A geometry-optimized Sc2H5 structure. Source: the Materials Project, functional PBE.

Cell lengths 3.360, 6.050, 5.774 Å; angles 90.00, 90.00, 90.00 degrees
Positions (direct):
Sc1 0.250 0.250 0.077
Sc2 0.250 0.750 0.411
Sc3 0.750 0.250 0.589
Sc4 0.750 0.750 0.923
H1 0.250 0.090 0.394
H2 0.250 0.250 0.744
H3 0.250 0.410 0.394
H4 0.250 0.592 0.061
H5 0.250 0.908 0.061
H6 0.750 0.092 0.939
H7 0.750 0.408 0.939
H8 0.750 0.590 0.606
H9 0.750 0.750 0.256
H10 0.750 0.910 0.606

## Properties
The calculation puts the total magnetic moment at 0.01 μB/f.u. As for the space-group type: Pmmn, No. 59. The calculation puts the formation enthalpy at 0 K at -4.26 eV per formula unit. The value obtained for the total energy is -4.71 eV/atom.

A geometry-optimized H2Se structure. Source: the Materials Project, functional PBE.

Cell lengths 3.467, 3.467, 3.467 Å; angles 60.00, 60.00, 60.00 degrees
Positions (direct):
H1 0.250 0.250 0.250
H2 0.750 0.750 0.750
Se1 0.000 0.000 0.000

## Properties
The calculation puts the total magnetic moment at 0.00 μB/f.u. As for the space-group type: Fm-3m, No. 225. The calculation puts the formation enthalpy at 0 K at 1.94 eV per formula unit. The value obtained for the total energy is -2.62 eV/atom.